Record 1
A geometry-optimized NaNbO3 structure. Source: the Materials Project, functional PBE.

Geometry as extended XYZ:
```
20
Lattice="0.000 0.000 5.549 5.612 0.000 0.000 0.000 8.026 0.000" Properties=species:S:1:pos:R:3 pbc="T T T"
Na 5.551 2.093 2.757
Na 0.061 6.106 2.791
Na 2.867 6.106 5.532
Na 2.745 2.093 0.017
Nb 2.877 0.115 2.786
Nb 2.734 4.128 2.763
Nb 5.540 4.128 0.011
Nb 0.071 0.115 5.537
O 0.054 1.975 5.189
O 5.558 5.988 0.360
O 2.752 5.988 2.414
O 2.860 1.975 3.135
O 3.965 0.225 1.180
O 1.647 4.238 4.369
O 4.453 4.238 3.954
O 1.159 0.225 1.595
O 1.536 7.727 4.330
O 4.076 3.714 1.218
O 1.270 3.714 1.556
O 4.342 7.727 3.993
```

Computed properties:
As for the crystal system: orthorhombic. The space-group type is No. 33. Its total energy is -7.6707 eV per atom.

***

Record 2
A geometry-optimized Ca5P3O12F structure. Source: the Materials Project, functional PBE.

Geometry as extended XYZ:
```
42
Lattice="1.253 5.108 -7.913 -4.799 -8.192 -0.344 -5.894 3.400 1.261" Properties=species:S:1:pos:R:3 pbc="T T T"
Ca -4.154 -1.487 -5.911
Ca -2.652 -1.158 0.220
Ca -3.480 6.397 -5.032
Ca -6.788 1.473 -7.216
Ca -5.286 1.802 -1.085
Ca -5.960 -6.082 -1.964
Ca -5.722 -2.063 -2.238
Ca -6.652 4.070 -4.130
Ca -3.718 2.378 -4.758
Ca -2.788 -3.755 -2.866
P -0.822 3.834 -4.685
P -3.144 0.880 -7.575
P -6.693 0.456 -4.033
P -8.618 -3.519 -2.310
P -6.295 -0.565 0.579
P -2.747 -0.141 -2.963
O -6.046 1.768 -4.542
O -8.048 -2.261 -3.040
O -3.343 1.099 -2.242
O -7.014 0.800 0.393
O -9.559 -3.030 -1.175
O -2.008 4.572 -5.365
O -4.553 0.742 -6.934
O -8.224 0.443 -4.299
O -6.097 -0.784 -4.754
O -2.426 -0.485 -7.389
O 0.119 3.345 -5.820
O -7.432 -4.257 -1.631
O -7.089 -1.642 -0.226
O -1.216 -0.128 -2.697
O -6.469 0.276 -2.498
O -2.351 1.957 -6.770
O -3.394 -1.453 -2.454
O -4.942 4.160 -5.835
O -4.566 3.744 -2.955
O -4.874 -3.429 -4.041
O -4.498 -3.845 -1.160
O -4.887 -0.427 -0.062
O -2.971 0.039 -4.498
O -1.392 2.576 -3.955
F -1.473 0.850 0.315
F -4.420 2.550 0.946
```

Computed properties:
As for the crystal system: hexagonal. The space-group type is No. 176. Its total energy is -7.1758 eV per atom.

***

Record 3
A geometry-optimized Tm2TiO5 structure. Source: the Materials Project, functional PBE.

Geometry as extended XYZ:
```
32
Lattice="-0.435 -0.898 3.513 6.101 -8.268 -1.359 8.947 6.162 2.682" Properties=species:S:1:pos:R:3 pbc="T T T"
Tm 3.061 0.526 1.462
Tm 9.151 4.473 3.224
Tm 5.867 -0.964 3.327
Tm 8.966 0.924 4.192
Tm 5.648 -3.928 0.644
Tm 8.747 -2.040 1.510
Tm 5.463 -7.477 1.612
Tm 11.553 -3.530 3.374
Ti 6.508 2.137 2.300
Ti 2.720 -2.616 2.515
Ti 11.894 -0.388 2.321
Ti 8.106 -5.141 2.536
O 7.735 4.781 5.026
O 5.827 3.763 2.632
O 5.339 0.718 1.793
O 6.677 1.106 3.956
O 3.585 -0.988 3.038
O 8.383 2.397 2.599
O 2.493 -1.624 0.842
O 9.897 2.942 4.823
O 4.088 -3.768 2.390
O 6.434 -1.856 1.270
O 8.180 -1.148 3.566
O 10.526 0.764 2.446
O 4.717 -5.945 0.013
O 12.121 -1.380 3.994
O 6.231 -5.401 2.238
O 11.029 -2.016 1.798
O 7.937 -4.109 0.880
O 9.275 -3.721 3.043
O 8.787 -6.767 2.204
O 6.879 -7.784 -0.190
```

Computed properties:
Its offset from the most stable computed form is 0.0000 eV per atom. As for the crystal system: orthorhombic. The space-group type is No. 62.

***

Record 4
A geometry-optimized MgHg22N6 structure. Source: the Materials Project, functional PBE.

Geometry as extended XYZ:
```
29
Lattice="-3.722 3.722 12.750 3.722 -3.722 12.750 3.722 3.722 -12.750" Properties=species:S:1:pos:R:3 pbc="T T T"
Mg 0.000 0.000 0.000
Hg 0.000 0.000 18.928
Hg 0.000 0.000 6.573
Hg -0.660 2.234 14.357
Hg 4.382 1.488 1.606
Hg 2.234 0.660 14.357
Hg 1.488 3.062 1.606
Hg 4.382 1.488 -1.606
Hg -0.660 2.234 11.144
Hg 1.488 3.062 -1.606
Hg 2.234 0.660 11.144
Hg 0.819 5.205 3.773
Hg -0.819 2.239 3.773
Hg 5.205 -0.819 3.773
Hg 2.239 0.819 3.773
Hg 2.903 -1.483 8.977
Hg 4.541 1.483 8.977
Hg -1.483 4.541 8.977
Hg 1.483 2.903 8.977
Hg 0.000 0.000 16.222
Hg 0.000 0.000 9.279
Hg 3.722 0.000 6.375
Hg 0.000 3.722 6.375
N 0.000 0.000 21.126
N 0.000 0.000 4.375
N 5.370 0.478 0.000
N -1.648 3.244 12.750
N 0.478 2.074 0.000
N 3.244 1.648 12.750
```

Computed properties:
Its magnetization is 0.00 μB/f.u. Its offset from the most stable computed form is 0.0000 eV per atom. As for the crystal system: tetragonal. The space-group type is No. 87.

***

Record 5
A geometry-optimized PmTlAg2 structure. Source: the Materials Project, functional PBE.

Geometry as extended XYZ:
```
4
Lattice="-2.374 -2.270 3.874 0.754 1.635 4.749 -3.717 2.423 2.472" Properties=species:S:1:pos:R:3 pbc="T T T"
Pm -2.668 0.894 5.548
Tl 0.000 0.000 0.000
Ag -4.002 1.342 8.321
Ag -1.334 0.447 2.774
```

Computed properties:
As for the crystal system: cubic. The space-group type is No. 225. Its total energy is -3.4519 eV per atom.

***

Record 6
A geometry-optimized Ge2RuC4Cl6O4 structure. Source: the Materials Project, functional PBE.

Geometry as extended XYZ:
```
68
Lattice="12.845 0.000 0.000 0.000 9.871 0.000 0.000 0.345 13.109" Properties=species:S:1:pos:R:3 pbc="T T T"
Ge 6.086 4.537 8.428
Ge 2.337 0.246 8.498
Ge 8.939 5.029 10.638
Ge 12.509 5.679 4.681
Ge 0.237 0.329 11.440
Ge 6.660 9.887 1.669
Ge 8.759 9.970 4.611
Ge 2.517 5.187 2.471
Ru 12.680 0.620 8.930
Ru 12.829 5.469 2.149
Ru 6.407 4.747 10.959
Ru 6.257 9.596 4.179
C 6.711 7.697 3.934
C 0.373 7.408 2.140
C 6.066 9.410 6.133
C 12.466 8.531 8.883
C 6.795 2.808 10.969
C 10.887 5.722 1.963
C 4.354 9.337 3.778
C 6.199 6.695 10.663
C 6.735 4.967 12.903
C 10.777 0.879 9.331
C 0.313 5.249 0.206
C 12.622 3.521 2.446
C 4.464 4.494 11.145
C 6.044 1.685 4.226
C 0.288 2.520 9.174
C 12.488 0.806 6.976
Cl 11.273 9.725 12.571
Cl 3.500 5.732 4.335
Cl 9.399 2.168 4.801
Cl 4.001 4.621 7.811
Cl 0.611 4.113 5.867
Cl 3.213 3.162 2.071
Cl 8.055 1.618 1.177
Cl 1.633 8.598 11.932
Cl 6.866 2.696 7.565
Cl 7.493 8.197 0.578
Cl 9.635 7.055 11.038
Cl 4.851 0.492 0.538
Cl 3.674 6.386 1.031
Cl 9.922 4.484 8.774
Cl 9.367 9.064 6.522
Cl 10.097 3.830 12.078
Cl 10.180 9.110 3.197
Cl 2.945 1.152 6.587
Cl 10.424 5.595 5.298
Cl 7.033 6.104 7.242
Cl 0.444 7.520 5.544
Cl 2.977 8.048 8.307
Cl 1.070 2.019 12.531
Cl 3.757 1.107 9.912
O 5.930 2.827 4.224
O 12.512 2.396 2.645
O 5.937 9.306 7.268
O 12.353 7.389 8.884
O 9.657 1.010 9.547
O 0.570 3.624 9.309
O 12.360 0.910 5.841
O 0.480 5.454 12.186
O 0.588 8.535 2.144
O 3.331 4.390 11.299
O 3.235 9.206 3.562
O 7.010 1.681 10.964
O 6.902 4.762 0.923
O 6.090 7.820 10.464
O 9.753 5.826 1.810
O 6.993 6.592 3.800
```

Computed properties:
Its magnetization is 0.00 μB/f.u. Its offset from the most stable computed form is 0.0157 eV per atom. As for the crystal system: monoclinic. The space-group type is No. 4.